Record 1
Entry from the Materials Project database: crystalline Na3YMgP2SO12 at its relaxed geometry (PBE).

```
Na3YMgP2SO12
1.0
-3.863 -8.023 2.304
4.443 4.948 6.319
-19.421 10.930 5.503
P O Na S Y Mg
12 72 18 6 6 6
direct
0.302 0.010 0.251
0.994 0.298 0.255
0.971 0.631 0.088
0.969 0.344 0.585
0.709 0.010 0.751
0.660 0.631 0.588
0.327 0.965 0.922
0.635 0.677 0.918
0.638 0.965 0.422
0.375 0.344 0.085
0.304 0.298 0.755
0.042 0.677 0.418
0.476 0.173 0.244
0.312 0.458 0.466
0.645 0.124 0.133
0.885 0.530 0.144
0.456 0.315 0.030
0.160 0.477 0.255
0.686 0.546 0.535
0.509 0.659 0.581
0.146 0.458 0.966
0.879 0.363 0.639
0.817 0.993 0.415
0.827 0.810 0.589
0.865 0.515 0.421
0.151 0.696 0.472
0.526 0.879 0.368
0.028 0.196 0.915
0.684 0.125 0.028
0.552 0.864 0.478
0.312 0.864 0.978
0.484 0.363 0.139
0.493 0.143 0.922
0.645 0.530 0.644
0.650 0.143 0.422
0.501 0.863 0.081
0.859 0.315 0.530
0.353 0.879 0.868
0.219 0.197 0.811
0.151 0.659 0.081
0.199 0.182 0.088
0.983 0.182 0.588
0.317 0.477 0.755
0.018 0.792 0.694
0.863 0.332 0.922
0.484 0.326 0.748
0.469 0.332 0.422
0.978 0.197 0.311
0.789 0.981 0.696
0.363 0.506 0.078
0.479 0.124 0.633
0.650 0.515 0.921
0.809 0.839 0.911
0.175 0.993 0.915
0.530 0.666 0.255
0.351 0.458 0.361
0.107 0.458 0.861
0.030 0.839 0.411
0.695 0.530 0.248
0.019 0.212 0.202
0.860 0.546 0.035
0.817 0.030 0.805
0.212 0.030 0.305
0.697 0.173 0.744
0.123 0.648 0.363
0.774 0.792 0.194
0.317 0.849 0.254
0.812 0.791 0.299
0.197 0.999 0.588
0.192 0.981 0.196
0.802 0.999 0.088
0.983 0.810 0.089
0.842 0.326 0.248
0.546 0.696 0.972
0.979 0.791 0.799
0.525 0.648 0.863
0.136 0.666 0.755
0.362 0.863 0.581
0.441 0.125 0.528
0.168 0.196 0.415
0.143 0.506 0.578
0.835 0.530 0.748
0.532 0.849 0.754
0.193 0.212 0.702
0.668 0.964 0.577
0.672 0.314 0.326
0.296 0.964 0.077
0.998 0.352 0.745
0.976 0.981 0.493
0.331 0.018 0.412
0.687 0.018 0.912
0.354 0.352 0.245
0.963 0.298 0.410
0.335 0.298 0.910
0.630 0.631 0.744
0.309 0.647 0.159
0.664 0.685 0.078
0.021 0.685 0.578
0.642 0.314 0.826
0.338 0.647 0.659
0.001 0.631 0.244
0.005 0.981 0.993
0.325 0.364 0.417
0.373 0.031 0.583
0.658 0.031 0.083
0.706 0.698 0.250
0.039 0.364 0.917
0.992 0.698 0.750
0.339 0.681 0.817
0.008 0.014 0.650
0.675 0.347 0.983
0.005 0.014 0.150
0.342 0.681 0.317
0.672 0.347 0.483
0.324 0.661 0.017
0.657 0.328 0.683
0.337 0.661 0.517
0.991 0.995 0.350
0.671 0.328 0.183
0.004 0.995 0.850
```

The formation energy comes out at -2.770 eV/atom. Its total magnetization is 0.0 μB/cell.

Record 2
Entry from the Materials Project database: crystalline Na3Y2Mg2PS5O24 at its relaxed geometry (PBE).

```
Na3Y2Mg2PS5O24
1.0
8.946 0.000 0.000
4.467 7.770 0.000
0.078 0.070 23.409
Na Y Mg P S O
9 6 6 3 15 72
direct
0.000 0.000 0.000
0.006 0.640 0.749
0.014 0.277 0.494
0.307 0.300 0.332
0.342 0.965 0.416
0.367 0.970 0.916
0.646 0.308 0.575
0.657 0.309 0.077
0.991 0.643 0.249
0.000 0.642 0.100
0.004 0.640 0.401
0.017 0.635 0.600
0.672 0.306 0.729
0.685 0.306 0.229
0.998 0.642 0.899
0.330 0.974 0.267
0.341 0.973 0.767
0.346 0.975 0.565
0.353 0.974 0.065
0.664 0.306 0.931
0.672 0.306 0.431
0.319 0.327 0.498
0.698 0.952 0.999
0.977 0.297 0.336
0.006 0.330 0.999
0.006 0.949 0.500
0.058 0.255 0.665
0.060 0.970 0.163
0.313 0.640 0.999
0.339 0.258 0.167
0.340 0.694 0.666
0.380 0.297 0.833
0.384 0.604 0.333
0.619 0.694 0.166
0.624 0.970 0.666
0.662 0.605 0.833
0.666 0.014 0.332
0.697 0.640 0.501
0.977 0.014 0.834
0.002 0.459 0.337
0.030 0.843 0.448
0.036 0.433 0.664
0.038 0.410 0.948
0.039 0.813 0.163
0.136 0.163 0.611
0.141 0.982 0.110
0.148 0.999 0.827
0.157 0.155 0.007
0.157 0.959 0.215
0.158 0.168 0.716
0.161 0.137 0.329
0.162 0.965 0.506
0.182 0.434 0.164
0.183 0.673 0.665
0.198 0.671 0.949
0.201 0.410 0.444
0.204 0.453 0.837
0.208 0.621 0.338
0.224 0.449 0.549
0.234 0.607 0.050
0.319 0.802 0.007
0.323 0.154 0.506
0.325 0.179 0.221
0.328 0.789 0.718
0.351 0.158 0.116
0.351 0.778 0.614
0.364 0.141 0.828
0.366 0.776 0.326
0.458 0.324 0.781
0.459 0.494 0.281
0.484 0.281 0.884
0.486 0.490 0.991
0.486 0.519 0.384
0.495 0.280 0.168
0.495 0.516 0.667
0.497 0.310 0.490
0.508 0.778 0.828
0.508 0.999 0.327
0.520 0.970 0.007
0.525 0.776 0.114
0.525 0.789 0.509
0.527 0.986 0.614
0.536 0.789 0.219
0.542 0.956 0.719
0.640 0.517 0.167
0.642 0.124 0.382
0.645 0.127 0.668
0.649 0.516 0.884
0.686 0.503 0.781
0.689 0.093 0.279
0.692 0.127 0.991
0.693 0.477 0.493
0.775 0.673 0.449
0.786 0.835 0.946
0.798 0.671 0.165
0.801 0.815 0.663
0.814 0.610 0.550
0.821 0.622 0.836
0.821 0.841 0.337
0.823 0.863 0.051
0.849 0.316 0.992
0.853 0.123 0.494
0.866 0.321 0.283
0.867 0.098 0.783
0.881 0.276 0.668
0.882 0.125 0.165
0.891 0.284 0.391
0.893 0.112 0.887
0.977 0.866 0.551
0.981 0.439 0.050
0.996 0.838 0.836
```

The formation energy comes out at -2.563 eV/atom. Its total magnetization is 0.0 μB/cell.